DyY3 after structural relaxation. Source: the Materials Project database, functional r²SCAN.

For the formation energy, the calculation gives 0.0 eV per formula unit. The electronic total energy comes out at -23.2308 eV/atom. Its size of the total moment is 2.6 μB per formula unit.

The space group is P6_3/mmc (No. 194) and the conventional cell measures 7.2677, 7.2677 and 5.8441 Å, with angles of 90.00, 90.00 and 120.00 degrees. The inequivalent atoms are Dy at (0.3333, 0.6667, 0.2500) and Y at (0.1672, 0.3343, 0.7500).